[1]
VASP calculation (PBE) on crystalline NdO2 at its relaxed geometry.

CIF file:
```
data_NdO2
_cell_length_a 6.7514
_cell_length_b 4.0534
_cell_length_c 6.5571
_cell_angle_alpha 90.00
_cell_angle_beta 97.86
_cell_angle_gamma 90.00
_space_group_name_H-M_alt 'C 1 2/m 1'
_space_group_IT_number 12
loop_
_space_group_symop_operation_xyz
'x,y,z'
'-x,-y,-z'
'-x,y,-z'
'x,-y,z'
'x+1/2,y+1/2,z'
'-x+1/2,-y+1/2,-z'
'-x+1/2,y+1/2,-z'
'x+1/2,-y+1/2,z'
loop_
_atom_site_label
_atom_site_type_symbol
_atom_site_fract_x
_atom_site_fract_y
_atom_site_fract_z
_atom_site_occupancy
Nd1 Nd 0.1982 0.0000 0.2304 1
O1 O 0.0789 0.5000 0.4289 1
O2 O 0.1523 0.0000 0.8587 1
```

***

[2]
# PBE CaCu2Si8O20, relaxed
data_CaCu2Si8O20
_cell_length_a 7.2709
_cell_length_b 7.2709
_cell_length_c 15.4583
_cell_angle_alpha 90.00
_cell_angle_beta 90.00
_cell_angle_gamma 90.00
_space_group_name_H-M_alt 'P -4 21 c'
_space_group_IT_number 114
loop_
_space_group_symop_operation_xyz
'x,y,z'
'y,-x,-z'
'-x,-y,z'
'-y,x,-z'
'x+1/2,-y+1/2,-z+1/2'
'y+1/2,x+1/2,z+1/2'
'-x+1/2,y+1/2,-z+1/2'
'-y+1/2,-x+1/2,z+1/2'
loop_
_atom_site_label
_atom_site_type_symbol
_atom_site_fract_x
_atom_site_fract_y
_atom_site_fract_z
_atom_site_occupancy
Ca1 Ca 0.0000 0.0000 0.0000 1
Cu1 Cu 0.0000 0.5000 0.0871 1
Si1 Si 0.1791 0.2494 0.3535 1
Si2 Si 0.1798 0.7457 0.8511 1
O1 O 0.0405 0.7515 0.3720 1
O2 O 0.0416 0.2406 0.8753 1
O3 O 0.0964 0.2620 0.0844 1
O4 O 0.0968 0.7309 0.5839 1
O5 O 0.2093 0.2115 0.2504 1
# total magnetization = 0.0 μB/f.u.

***

[3]
VASP calculation (PBE) on crystalline Hf2Co4P3 at its relaxed geometry.

CIF file:
```
data_Hf2Co4P3
_cell_length_a 12.0513
_cell_length_b 12.0513
_cell_length_c 3.6405
_cell_angle_alpha 90.00
_cell_angle_beta 90.00
_cell_angle_gamma 120.00
_space_group_name_H-M_alt 'P -6 2 m'
_space_group_IT_number 189
_space_group_name_Hall 'P -6 -2'
loop_
_atom_site_label
_atom_site_type_symbol
_atom_site_fract_x
_atom_site_fract_y
_atom_site_fract_z
_atom_site_occupancy
Hf1 Hf 0.0000 0.1756 0.0000 1
Hf2 Hf 0.0000 0.5558 0.5000 1
Hf3 Hf 0.3333 0.6667 0.5000 1
Co1 Co 0.0000 0.0000 0.5000 1
Co2 Co 0.0000 0.7212 0.0000 1
Co3 Co 0.1268 0.4821 0.0000 1
Co4 Co 0.1793 0.8063 0.5000 1
P1 P 0.0000 0.3448 0.5000 1
P2 P 0.0000 0.8244 0.5000 1
P3 P 0.1736 0.6903 0.0000 1
```

***

[4]
# PBE K2S3, relaxed
data_K2S3
_cell_length_a 7.3442
_cell_length_b 10.2284
_cell_length_c 7.5876
_cell_angle_alpha 90.00
_cell_angle_beta 90.00
_cell_angle_gamma 90.00
_space_group_name_H-M_alt 'C m c 21'
_space_group_IT_number 36
loop_
_space_group_symop_operation_xyz
'x,y,z'
'-x,-y,z+1/2'
'-x,y,z'
'x,-y,z+1/2'
'x+1/2,y+1/2,z'
'-x+1/2,-y+1/2,z+1/2'
'-x+1/2,y+1/2,z'
'x+1/2,-y+1/2,z+1/2'
loop_
_atom_site_label
_atom_site_type_symbol
_atom_site_fract_x
_atom_site_fract_y
_atom_site_fract_z
_atom_site_occupancy
K1 K 0.0000 0.0825 0.0000 1
K2 K 0.0000 0.3943 0.7701 1
S1 S 0.0000 0.3002 0.3111 1
S2 S 0.2299 0.3428 0.1566 1
# piezoelectric modulus e_max = 0.2 C/m2

***

no.,total energy (eV/atom)
1,-7.7377
2,-7.3201
3,-8.1743
4,-3.7163